[1]
The following is a DFT calculation (r2SCAN) of a relaxed structure of SmMnO3.

POSCAR file:
```
SmMnO3
1.0
5.3586 0.0000 0.0000
0.0000 5.6327 0.0000
0.0000 0.0000 7.6700
Sm Mn O
4 4 12
direct
0.0147 0.9368 0.7500 Sm
0.5147 0.5632 0.2500 Sm
0.4853 0.4368 0.7500 Sm
0.9853 0.0632 0.2500 Sm
0.5000 0.0000 0.5000 Mn
0.0000 0.5000 0.5000 Mn
0.0000 0.5000 0.0000 Mn
0.5000 0.0000 0.0000 Mn
0.7054 0.3028 0.4523 O
0.2054 0.1972 0.5477 O
0.7946 0.8028 0.0477 O
0.2946 0.6972 0.9523 O
0.2946 0.6972 0.5477 O
0.7946 0.8028 0.4523 O
0.2054 0.1972 0.9523 O
0.7054 0.3028 0.0477 O
0.0915 0.4749 0.2500 O
0.5915 0.0251 0.7500 O
0.4085 0.9749 0.2500 O
0.9085 0.5251 0.7500 O
```

For the total moment, the calculation gives 4.00 μB/f.u. The calculated volume comes out at 231.5 Å³/cell.

[2]
The following is a DFT calculation (r2SCAN) of a relaxed structure of Sr7Mn4O15.

POSCAR file:
```
Sr7Mn4O15
1.0
9.6336 0.0000 0.0000
0.0000 6.8266 0.0128
0.0000 0.3305 10.3457
Sr Mn O
14 8 30
direct
0.5032 0.8216 0.3334 Sr
0.0032 0.1784 0.1666 Sr
0.4968 0.1784 0.6666 Sr
0.9968 0.8216 0.8334 Sr
0.5000 0.5000 0.0000 Sr
0.0000 0.5000 0.5000 Sr
0.6490 0.6491 0.6963 Sr
0.1490 0.3509 0.8037 Sr
0.3510 0.3509 0.3037 Sr
0.8510 0.6491 0.1963 Sr
0.6856 0.0020 0.9655 Sr
0.1856 0.9980 0.5345 Sr
0.3144 0.9980 0.0345 Sr
0.8144 0.0020 0.4655 Sr
0.6694 0.2215 0.2213 Mn
0.1694 0.7785 0.2787 Mn
0.3306 0.7785 0.7787 Mn
0.8306 0.2215 0.7213 Mn
0.6672 0.4238 0.4251 Mn
0.1672 0.5762 0.0749 Mn
0.3328 0.5762 0.5749 Mn
0.8328 0.4238 0.9251 Mn
0.7473 0.9763 0.2126 O
0.2473 0.0237 0.2874 O
0.2527 0.0237 0.7874 O
0.7527 0.9763 0.7126 O
0.5183 0.1599 0.1247 O
0.0183 0.8401 0.3753 O
0.4817 0.8401 0.8753 O
0.9817 0.1599 0.6247 O
0.5000 0.5000 0.5000 O
0.0000 0.5000 0.0000 O
0.7262 0.3170 0.5822 O
0.2262 0.6830 0.9178 O
0.2738 0.6830 0.4178 O
0.7738 0.3170 0.0822 O
0.5822 0.1632 0.3851 O
0.0822 0.8368 0.1149 O
0.4178 0.8368 0.6149 O
0.9178 0.1632 0.8851 O
0.7450 0.6626 0.4511 O
0.2450 0.3374 0.0489 O
0.2550 0.3374 0.5489 O
0.7550 0.6626 0.9511 O
0.8987 0.4927 0.7531 O
0.3987 0.5073 0.7469 O
0.1013 0.5073 0.2469 O
0.6013 0.4927 0.2531 O
0.8256 0.3214 0.3368 O
0.3256 0.6786 0.1632 O
0.1744 0.6786 0.6632 O
0.6744 0.3214 0.8368 O
```

For the total moment, the calculation gives 0.00 μB/f.u. The calculated volume comes out at 680.3 Å³/cell.

| no. | formation energy (meV/atom) |
| --- | --- |
| 1 | -3047.6 |
| 2 | -2766.8 |